VASP calculation (PBE+U) on Ba2SmVO6 after structural relaxation.

Calculated values
energy of formation from the pure elements = -31.118 eV per formula unit
total moment = 0.00 μB/cell
symmetry = Pn-3 (201)
energy = -290.5 eV for the cell shown

Cell lengths 8.437, 8.437, 8.437 Å; angles 90.00, 90.00, 90.00 degrees
Fractional coordinates of all 40 atoms:
Ba (0.250, 0.250, 0.250)
Ba (0.250, 0.250, 0.750)
Ba (0.250, 0.750, 0.250)
Ba (0.250, 0.750, 0.750)
Ba (0.750, 0.250, 0.250)
Ba (0.750, 0.250, 0.750)
Ba (0.750, 0.750, 0.250)
Ba (0.750, 0.750, 0.750)
Sm (0.000, 0.000, 0.000)
Sm (0.000, 0.500, 0.500)
Sm (0.500, 0.000, 0.500)
Sm (0.500, 0.500, 0.000)
V (0.000, 0.000, 0.500)
V (0.000, 0.500, 0.000)
V (0.500, 0.000, 0.000)
V (0.500, 0.500, 0.500)
O (0.008, 0.227, 0.508)
O (0.008, 0.273, 0.992)
O (0.008, 0.508, 0.773)
O (0.008, 0.992, 0.727)
O (0.227, 0.508, 0.008)
O (0.227, 0.992, 0.492)
O (0.273, 0.508, 0.492)
O (0.273, 0.992, 0.008)
O (0.492, 0.227, 0.992)
O (0.492, 0.273, 0.508)
O (0.492, 0.508, 0.727)
O (0.492, 0.992, 0.773)
O (0.508, 0.008, 0.227)
O (0.508, 0.492, 0.273)
O (0.508, 0.727, 0.492)
O (0.508, 0.773, 0.008)
O (0.727, 0.008, 0.992)
O (0.727, 0.492, 0.508)
O (0.773, 0.008, 0.508)
O (0.773, 0.492, 0.992)
O (0.992, 0.008, 0.273)
O (0.992, 0.492, 0.227)
O (0.992, 0.727, 0.008)
O (0.992, 0.773, 0.492)